No. 1
Density functional theory data (GGA+U) for Li7Co5O12 after structural relaxation.

Unit cell a=4.9455 b=4.9455 c=9.3783 alpha=94.66 beta=94.66 gamma=118.44
Atoms (fractional coordinates):
Li 0.0000 0.0000 0.0000
Li 0.2493 0.2606 0.7554
Li 0.3329 0.6671 0.0000
Li 0.4034 0.0786 0.2449
Li 0.7394 0.7507 0.2446
Li 0.8212 0.1788 0.5000
Li 0.9214 0.5966 0.7551
Co 0.0898 0.4089 0.2378
Co 0.1545 0.8455 0.5000
Co 0.4926 0.5074 0.5000
Co 0.5911 0.9102 0.7622
Co 0.6609 0.3391 0.0000
O 0.0165 0.6670 0.1236
O 0.1397 0.1611 0.3806
O 0.2379 0.5959 0.6242
O 0.3330 0.9835 0.8764
O 0.3733 0.3757 0.1227
O 0.4041 0.7621 0.3758
O 0.4993 0.1976 0.6106
O 0.6243 0.6267 0.8773
O 0.7295 0.0885 0.1307
O 0.8024 0.5007 0.3894
O 0.8389 0.8603 0.6194
O 0.9115 0.2705 0.8693

Results
* VASP energy: -5.495 eV/atom
* ρ: 4.46 Mg/m³
* polymorph energy (0 for the lowest one): 95 meV/atom
* E_form: -38.5 kcal/mol of atoms
* space-group type: C2 (5)
* spin magnetization: 6.00 Bohr magnetons per cell

---

No. 2
Density functional theory data (GGA+U) for CaWO4 after structural relaxation.

Unit cell a=6.7881 b=6.7881 c=5.2881 alpha=111.86 beta=111.86 gamma=113.82
Atoms (fractional coordinates):
Ca 0.1275 0.8725 0.7500
Ca 0.8725 0.1275 0.2500
W 0.3836 0.6164 0.2500
W 0.6164 0.3836 0.7500
O 0.1412 0.5611 0.3420
O 0.2267 0.2930 0.8514
O 0.2930 0.2267 0.3514
O 0.4389 0.8588 0.1580
O 0.5611 0.1412 0.8420
O 0.7070 0.7733 0.6486
O 0.7733 0.7070 0.1486
O 0.8588 0.4389 0.6580

Results
* VASP energy: -7.319 eV/atom
* ρ: 5.87 Mg/m³
* E_form: -62.8 kcal/mol of atoms
* space-group type: C2/c (15)
* spin magnetization: 0.00 Bohr magnetons per cell

---

No. 3
Density functional theory data (GGA+U) for Li2V2F7 after structural relaxation.

Unit cell a=7.3693 b=7.3693 c=7.3693 alpha=118.24 beta=89.67 gamma=122.18
Atoms (fractional coordinates):
Li 0.0000 0.0000 0.0000
Li 0.5000 0.0000 0.0000
Li 0.5000 0.0000 0.5000
Li 0.5000 0.5000 0.5000
V 0.0000 0.0000 0.5000
V 0.0000 0.5000 0.0000
V 0.0000 0.5000 0.5000
V 0.5000 0.5000 0.0000
F 0.0813 0.2523 0.4161
F 0.0813 0.6652 0.8290
F 0.0922 0.8422 0.2500
F 0.3199 0.2385 0.0814
F 0.3363 0.2523 0.6710
F 0.3363 0.6652 0.0839
F 0.3429 0.7615 0.5814
F 0.6571 0.2385 0.4186
F 0.6637 0.3348 0.9161
F 0.6637 0.7477 0.3290
F 0.6801 0.7615 0.9186
F 0.9078 0.1578 0.7500
F 0.9187 0.3348 0.1710
F 0.9187 0.7477 0.5839

Results
* VASP energy: -5.657 eV/atom
* ρ: 2.93 Mg/m³
* polymorph energy (0 for the lowest one): 67 meV/atom
* E_form: -70.2 kcal/mol of atoms
* space-group type: Imma (74)
* spin magnetization: 1.60 Bohr magnetons per cell

---

No. 4
Density functional theory data (GGA+U) for Li9Mn7O16 after structural relaxation.

Unit cell a=3.0181 b=8.2023 c=12.1464 alpha=90.02 beta=94.96 gamma=90.98
Atoms (fractional coordinates):
Li 0.0000 0.0000 0.0000
Li 0.0000 0.0000 0.5000
Li 0.0000 0.5000 0.0000
Li 0.0155 0.4991 0.2402
Li 0.4885 0.2683 0.1248
Li 0.4924 0.7485 0.3790
Li 0.5076 0.2515 0.6210
Li 0.5115 0.7317 0.8752
Li 0.9845 0.5009 0.7598
Mn 0.0000 0.5000 0.5000
Mn 0.0135 0.0004 0.2452
Mn 0.4934 0.2600 0.8795
Mn 0.4964 0.7499 0.6264
Mn 0.5036 0.2501 0.3736
Mn 0.5066 0.7400 0.1205
Mn 0.9865 0.9996 0.7548
O 0.0267 0.2507 0.9825
O 0.0331 0.7412 0.5019
O 0.0337 0.2408 0.2513
O 0.0358 0.7583 0.2333
O 0.4614 0.0122 0.8717
O 0.4669 0.5106 0.6210
O 0.4742 0.0093 0.3695
O 0.4933 0.5179 0.1274
O 0.5067 0.4821 0.8726
O 0.5258 0.9907 0.6305
O 0.5331 0.4894 0.3790
O 0.5386 0.9878 0.1283
O 0.9642 0.2417 0.7667
O 0.9663 0.7592 0.7487
O 0.9669 0.2588 0.4981
O 0.9733 0.7493 0.0175

Results
* VASP energy: -6.431 eV/atom
* ρ: 3.90 Mg/m³
* polymorph energy (0 for the lowest one): 20 meV/atom
* E_form: -49.0 kcal/mol of atoms
* space-group type: P-1 (2)
* spin magnetization: 26.00 Bohr magnetons per cell

---

No. 5
Density functional theory data (GGA+U) for Li9Mn2Co5O16 after structural relaxation.

Unit cell a=9.8254 b=2.9008 c=10.4092 alpha=90.00 beta=99.20 gamma=90.00
Atoms (fractional coordinates):
Li 0.0000 0.0000 0.0000
Li 0.0018 0.0000 0.4828
Li 0.2534 0.0000 0.3642
Li 0.2554 0.5000 0.5938
Li 0.2602 0.5000 0.1379
Li 0.5031 0.0000 0.7295
Li 0.5068 0.0000 0.2398
Li 0.7489 0.5000 0.8653
Li 0.7514 0.5000 0.3588
Mn 0.2551 0.0000 0.8619
Mn 0.9967 0.5000 0.7331
Co 0.0213 0.5000 0.2558
Co 0.4833 0.5000 0.4716
Co 0.5073 0.5000 0.9946
Co 0.7362 0.0000 0.6054
Co 0.7607 0.0000 0.1161
O 0.1084 0.0000 0.6787
O 0.1178 0.0000 0.1786
O 0.1199 0.5000 0.4175
O 0.1293 0.5000 0.9043
O 0.3640 0.5000 0.8052
O 0.3867 0.0000 0.5479
O 0.3904 0.5000 0.3079
O 0.3919 0.0000 0.0432
O 0.6172 0.0000 0.9399
O 0.6328 0.0000 0.4389
O 0.6367 0.5000 0.6793
O 0.6432 0.5000 0.1730
O 0.8685 0.5000 0.0517
O 0.8774 0.5000 0.5701
O 0.8892 0.0000 0.2909
O 0.8908 0.0000 0.7928

Results
* VASP energy: -5.774 eV/atom
* ρ: 4.10 Mg/m³
* polymorph energy (0 for the lowest one): 80 meV/atom
* E_form: -41.1 kcal/mol of atoms
* space-group type: Pm (6)
* spin magnetization: 12.00 Bohr magnetons per cell

---

No. 6
Density functional theory data (GGA+U) for LiMnP4O12 after structural relaxation.

Unit cell a=7.3710 b=13.0525 c=11.9493 alpha=90.00 beta=127.61 gamma=90.00
Atoms (fractional coordinates):
Li 0.0480 0.2125 0.0255
Li 0.0480 0.2875 0.5255
Li 0.9520 0.7125 0.4745
Li 0.9520 0.7875 0.9745
Mn 0.4353 0.2111 0.9311
Mn 0.4353 0.2889 0.4311
Mn 0.5647 0.7111 0.5689
Mn 0.5647 0.7889 0.0689
P 0.0647 0.0979 0.7701
P 0.0647 0.4021 0.2701
P 0.1803 0.6221 0.2559
P 0.1803 0.8779 0.7559
P 0.4176 0.6266 0.8041
P 0.4176 0.8734 0.3041
P 0.4604 0.0926 0.2914
P 0.4604 0.4074 0.7914
P 0.5396 0.5926 0.2086
P 0.5396 0.9074 0.7086
P 0.5824 0.1266 0.6959
P 0.5824 0.3734 0.1959
P 0.8197 0.1221 0.2441
P 0.8197 0.3779 0.7441
P 0.9353 0.5979 0.7299
P 0.9353 0.9021 0.2299
O 0.0331 0.6938 0.1366
O 0.0331 0.8062 0.6365
O 0.0396 0.5143 0.2140
O 0.0396 0.9857 0.7140
O 0.1594 0.1749 0.7203
O 0.1594 0.3251 0.2203
O 0.1868 0.6222 0.7940
O 0.1868 0.8778 0.2940
O 0.2121 0.1045 0.1741
O 0.2121 0.3955 0.6741
O 0.2373 0.1073 0.9322
O 0.2373 0.3927 0.4322
O 0.2651 0.6499 0.4032
O 0.2651 0.8501 0.9032
O 0.3554 0.6357 0.6607
O 0.3554 0.8643 0.1607
O 0.3982 0.5839 0.2687
O 0.3982 0.9161 0.7687
O 0.4261 0.6720 0.0899
O 0.4261 0.8280 0.5899
O 0.4331 0.2063 0.5849
O 0.4331 0.2937 0.0849
O 0.4730 0.0155 0.6258
O 0.4730 0.4845 0.1258
O 0.5270 0.5155 0.8742
O 0.5270 0.9845 0.3742
O 0.5669 0.7063 0.9151
O 0.5669 0.7937 0.4151
O 0.5739 0.1720 0.4101
O 0.5739 0.3280 0.9101
O 0.6018 0.0839 0.2313
O 0.6018 0.4161 0.7313
O 0.6446 0.1357 0.8393
O 0.6446 0.3643 0.3393
O 0.7349 0.1499 0.0968
O 0.7349 0.3501 0.5968
O 0.7627 0.6073 0.5678
O 0.7627 0.8927 0.0678
O 0.7879 0.6045 0.3259
O 0.7879 0.8955 0.8259
O 0.8132 0.1222 0.7060
O 0.8132 0.3778 0.2060
O 0.8406 0.6749 0.7797
O 0.8406 0.8251 0.2797
O 0.9604 0.0143 0.2860
O 0.9604 0.4857 0.7860
O 0.9669 0.1938 0.3634
O 0.9669 0.3062 0.8634

Results
* VASP energy: -7.057 eV/atom
* ρ: 2.75 Mg/m³
* polymorph energy (0 for the lowest one): 84 meV/atom
* E_form: -57.4 kcal/mol of atoms
* space-group type: P2_1/c (14)
* spin magnetization: 16.00 Bohr magnetons per cell

---

No. 7
Density functional theory data (GGA+U) for AlV3Se2ClO8 after structural relaxation.

Unit cell a=6.6500 b=8.0042 c=9.9811 alpha=90.96 beta=104.34 gamma=90.33
Atoms (fractional coordinates):
Al 0.2479 0.1419 0.2535
Al 0.7521 0.8581 0.7465
V 0.0000 0.0000 0.0000
V 0.0000 0.0000 0.5000
V 0.2795 0.7790 0.2486
V 0.5000 0.0000 0.0000
V 0.5000 0.0000 0.5000
V 0.7205 0.2210 0.7514
Se 0.1883 0.6310 0.9174
Se 0.3076 0.6272 0.5735
Se 0.6924 0.3728 0.4265
Se 0.8117 0.3690 0.0826
Cl 0.3163 0.1338 0.6775
Cl 0.6837 0.8662 0.3225
O 0.0236 0.2195 0.1296
O 0.1105 0.7567 0.5821
O 0.1826 0.6081 0.0871
O 0.1999 0.9808 0.3620
O 0.2914 0.9990 0.1199
O 0.3009 0.6004 0.4029
O 0.3984 0.7548 0.9233
O 0.4650 0.2275 0.3775
O 0.5350 0.7725 0.6225
O 0.6016 0.2452 0.0767
O 0.6991 0.3996 0.5971
O 0.7086 0.0010 0.8801
O 0.8001 0.0192 0.6380
O 0.8174 0.3919 0.9129
O 0.8895 0.2433 0.4179
O 0.9764 0.7805 0.8704

Results
* VASP energy: -6.374 eV/atom
* ρ: 3.23 Mg/m³
* E_form: -41.2 kcal/mol of atoms
* space-group type: P-1 (2)
* spin magnetization: 6.00 Bohr magnetons per cell

---

No. 8
Density functional theory data (GGA+U) for KMn2Mo2O10 after structural relaxation.

Unit cell a=5.9786 b=5.9786 c=8.5233 alpha=113.33 beta=113.33 gamma=63.31
Atoms (fractional coordinates):
K 0.0000 0.0000 0.0000
Mn 0.0000 0.5000 0.5000
Mn 0.5000 0.0000 0.5000
Mo 0.4313 0.4313 0.2376
Mo 0.5687 0.5687 0.7624
O 0.1940 0.1940 0.5724
O 0.2172 0.6850 0.7177
O 0.3037 0.3037 0.0135
O 0.3150 0.7828 0.2823
O 0.3292 0.3292 0.3678
O 0.6708 0.6708 0.6322
O 0.6850 0.2172 0.7177
O 0.6963 0.6963 0.9865
O 0.7828 0.3150 0.2823
O 0.8060 0.8060 0.4276

Results
* VASP energy: -6.857 eV/atom
* ρ: 3.45 Mg/m³
* E_form: -44.4 kcal/mol of atoms
* space-group type: C2/m (12)
* spin magnetization: 7.00 Bohr magnetons per cell

---

No. 9
Density functional theory data (GGA+U) for FeOF after structural relaxation.

Unit cell a=9.6384 b=3.1427 c=14.3980 alpha=90.00 beta=90.16 gamma=90.00
Atoms (fractional coordinates):
Fe 0.0000 0.0000 0.0000
Fe 0.0016 0.0000 0.3231
Fe 0.2129 0.5000 0.8321
Fe 0.2198 0.5000 0.4867
Fe 0.2261 0.5000 0.1591
Fe 0.4688 0.0000 0.3057
Fe 0.4756 0.0000 0.0102
Fe 0.4966 0.0000 0.6601
Fe 0.7091 0.5000 0.1604
Fe 0.7196 0.5000 0.4983
Fe 0.7282 0.5000 0.8173
Fe 0.9495 0.0000 0.6549
O 0.0752 0.5000 0.3895
O 0.0782 0.5000 0.0585
O 0.1270 0.0000 0.8874
O 0.1317 0.0000 0.2212
O 0.3208 0.0000 0.0952
O 0.3744 0.5000 0.2587
O 0.5689 0.5000 0.7264
O 0.5745 0.5000 0.0560
O 0.6248 0.0000 0.5535
O 0.6338 0.0000 0.2243
O 0.8259 0.0000 0.7639
O 0.8801 0.5000 0.5881
F 0.0772 0.5000 0.7197
F 0.1316 0.0000 0.5641
F 0.3184 0.0000 0.7573
F 0.3349 0.0000 0.4284
F 0.3727 0.5000 0.5930
F 0.3793 0.5000 0.9226
F 0.5699 0.5000 0.3871
F 0.6272 0.0000 0.8919
F 0.8189 0.0000 0.4213
F 0.8282 0.0000 0.0937
F 0.8773 0.5000 0.9328
F 0.8823 0.5000 0.2570

Results
* VASP energy: -5.986 eV/atom
* ρ: 4.15 Mg/m³
* E_form: -46.3 kcal/mol of atoms
* space-group type: Pm (6)
* spin magnetization: 59.18 Bohr magnetons per cell

---

No. 10
Density functional theory data (GGA+U) for Li5Mn3F14 after structural relaxation.

Unit cell a=11.2777 b=7.4236 c=12.5736 alpha=90.00 beta=90.00 gamma=90.00
Atoms (fractional coordinates):
Li 0.0102 0.0105 0.0000
Li 0.0874 0.3196 0.7406
Li 0.0891 0.7998 0.7445
Li 0.2266 0.7914 0.5232
Li 0.2399 0.7635 0.9775
Li 0.2601 0.2635 0.4775
Li 0.2734 0.2914 0.0232
Li 0.4109 0.2998 0.2445
Li 0.4126 0.8196 0.2406
Li 0.4898 0.5105 0.5000
Li 0.5102 0.4895 0.0000
Li 0.5874 0.1804 0.7406
Li 0.5891 0.7002 0.7445
Li 0.7266 0.7086 0.5232
Li 0.7399 0.7365 0.9775
Li 0.7601 0.2365 0.4775
Li 0.7734 0.2086 0.0232
Li 0.9109 0.2002 0.2445
Li 0.9126 0.6804 0.2406
Li 0.9898 0.9895 0.5000
Mn 0.0001 0.4959 0.0127
Mn 0.9999 0.5041 0.5127
Mn 0.1544 0.9997 0.2575
Mn 0.1779 0.4999 0.2615
Mn 0.3221 0.9999 0.7615
Mn 0.3456 0.4997 0.7575
Mn 0.5001 0.0041 0.0127
Mn 0.4999 0.9959 0.5127
Mn 0.6544 0.5003 0.2575
Mn 0.6779 0.0001 0.2615
Mn 0.8221 0.5001 0.7615
Mn 0.8456 0.0003 0.7575
F 0.0033 0.0805 0.7578
F 0.0570 0.5760 0.1654
F 0.0696 0.7205 0.5660
F 0.0748 0.7091 0.9652
F 0.0765 0.5818 0.3691
F 0.0815 0.2565 0.2645
F 0.1262 0.3502 0.9680
F 0.1305 0.3592 0.5525
F 0.1431 0.0135 0.1017
F 0.1452 0.0039 0.4182
F 0.1869 0.5820 0.7587
F 0.2067 0.9248 0.8609
F 0.2188 0.9305 0.6517
F 0.2481 0.7571 0.2558
F 0.2519 0.2571 0.7558
F 0.2812 0.4305 0.1517
F 0.2933 0.4248 0.3609
F 0.3131 0.0820 0.2587
F 0.3548 0.5039 0.9182
F 0.3569 0.5135 0.6017
F 0.3695 0.8592 0.0525
F 0.3738 0.8502 0.4680
F 0.4185 0.7565 0.7645
F 0.4235 0.0818 0.8691
F 0.4252 0.2091 0.4652
F 0.4304 0.2205 0.0660
F 0.4430 0.0761 0.6654
F 0.4967 0.5805 0.2578
F 0.5033 0.4195 0.7578
F 0.5570 0.9240 0.1654
F 0.5696 0.7795 0.5660
F 0.5748 0.7909 0.9652
F 0.5765 0.9182 0.3691
F 0.5815 0.2435 0.2645
F 0.6262 0.1498 0.9680
F 0.6305 0.1408 0.5525
F 0.6431 0.4865 0.1017
F 0.6452 0.4961 0.4182
F 0.6869 0.9180 0.7587
F 0.7067 0.5752 0.8609
F 0.7188 0.5695 0.6517
F 0.7481 0.7429 0.2558
F 0.7519 0.2429 0.7558
F 0.7812 0.0695 0.1517
F 0.7933 0.0752 0.3609
F 0.8131 0.4180 0.2587
F 0.8548 0.9961 0.9182
F 0.8569 0.9865 0.6017
F 0.8695 0.6408 0.0525
F 0.8738 0.6498 0.4680
F 0.9185 0.7435 0.7645
F 0.9235 0.4182 0.8691
F 0.9252 0.2909 0.4652
F 0.9304 0.2795 0.0660
F 0.9430 0.4240 0.6654
F 0.9967 0.9195 0.2578

Results
* VASP energy: -5.303 eV/atom
* ρ: 2.94 Mg/m³
* E_form: -67.4 kcal/mol of atoms
* space-group type: Pna2_1 (33)
* spin magnetization: 48.00 Bohr magnetons per cell

---

Which value of VASP energy does entry 2 give?
-7.319 eV/atom

---

Copy entry 5 word for word.
Density functional theory data (GGA+U) for Li9Mn2Co5O16 after structural relaxation.

Unit cell a=9.8254 b=2.9008 c=10.4092 alpha=90.00 beta=99.20 gamma=90.00
Atoms (fractional coordinates):
Li 0.0000 0.0000 0.0000
Li 0.0018 0.0000 0.4828
Li 0.2534 0.0000 0.3642
Li 0.2554 0.5000 0.5938
Li 0.2602 0.5000 0.1379
Li 0.5031 0.0000 0.7295
Li 0.5068 0.0000 0.2398
Li 0.7489 0.5000 0.8653
Li 0.7514 0.5000 0.3588
Mn 0.2551 0.0000 0.8619
Mn 0.9967 0.5000 0.7331
Co 0.0213 0.5000 0.2558
Co 0.4833 0.5000 0.4716
Co 0.5073 0.5000 0.9946
Co 0.7362 0.0000 0.6054
Co 0.7607 0.0000 0.1161
O 0.1084 0.0000 0.6787
O 0.1178 0.0000 0.1786
O 0.1199 0.5000 0.4175
O 0.1293 0.5000 0.9043
O 0.3640 0.5000 0.8052
O 0.3867 0.0000 0.5479
O 0.3904 0.5000 0.3079
O 0.3919 0.0000 0.0432
O 0.6172 0.0000 0.9399
O 0.6328 0.0000 0.4389
O 0.6367 0.5000 0.6793
O 0.6432 0.5000 0.1730
O 0.8685 0.5000 0.0517
O 0.8774 0.5000 0.5701
O 0.8892 0.0000 0.2909
O 0.8908 0.0000 0.7928

Results
* VASP energy: -5.774 eV/atom
* ρ: 4.10 Mg/m³
* polymorph energy (0 for the lowest one): 80 meV/atom
* E_form: -41.1 kcal/mol of atoms
* space-group type: Pm (6)
* spin magnetization: 12.00 Bohr magnetons per cell